Record 1
{
  "formula": "LiVC2O6",
  "functional": "PBE with a Hubbard U",
  "state": "optimized geometry",
  "delta_e_f_ev_per_atom": -2.105,
  "total_magnetization_mub_per_cell": 0.0,
  "dft_energy_ev_per_fu": -74.368,
  "lattice_angstrom": [[0.954, 3.743, 4.308], [-5.454, -2.361, 1.518], [5.186, -7.124, 8.540]],
  "species": ["Li", "Li", "Li", "Li", "V", "V", "V", "V", "C", "C", "C", "C", "C", "C", "C", "C", "O", "O", "O", "O", "O", "O", "O", "O", "O", "O", "O", "O", "O", "O", "O", "O", "O", "O", "O", "O", "O", "O", "O", "O"],
  "fractional_positions": [[0.750, 0.381, 0.190], [0.751, 0.381, 0.690], [0.250, 0.619, 0.310], [0.249, 0.619, 0.810], [0.750, 0.809, 0.904], [0.250, 0.191, 0.596], [0.750, 0.809, 0.404], [0.249, 0.191, 0.096], [0.723, 0.312, 0.440], [0.723, 0.312, 0.940], [0.223, 0.120, 0.344], [0.223, 0.120, 0.844], [0.777, 0.880, 0.156], [0.777, 0.880, 0.656], [0.277, 0.688, 0.060], [0.277, 0.688, 0.560], [0.718, 0.126, 0.395], [0.717, 0.126, 0.895], [0.218, 0.209, 0.437], [0.218, 0.209, 0.937], [0.782, 0.791, 0.063], [0.782, 0.791, 0.563], [0.282, 0.874, 0.105], [0.283, 0.874, 0.605], [0.890, 0.086, 0.162], [0.890, 0.086, 0.662], [0.390, 0.676, 0.457], [0.390, 0.676, 0.957], [0.610, 0.324, 0.043], [0.610, 0.324, 0.543], [0.110, 0.914, 0.338], [0.110, 0.914, 0.838], [0.837, 0.495, 0.379], [0.837, 0.495, 0.879], [0.336, 0.243, 0.253], [0.336, 0.243, 0.753], [0.664, 0.757, 0.247], [0.664, 0.757, 0.747], [0.163, 0.506, 0.121], [0.163, 0.505, 0.621]]
}


Record 2
{
  "formula": "LiV2C4O12",
  "functional": "PBE with a Hubbard U",
  "state": "optimized geometry",
  "delta_e_f_ev_per_atom": -2.027,
  "total_magnetization_mub_per_cell": 0.0,
  "dft_energy_ev_per_fu": -143.244,
  "lattice_angstrom": [[0.314, 3.898, 4.652], [3.423, -6.231, 4.990], [7.672, 3.967, -0.309]],
  "species": ["Li", "Li", "V", "V", "V", "V", "C", "C", "C", "C", "C", "C", "C", "C", "O", "O", "O", "O", "O", "O", "O", "O", "O", "O", "O", "O", "O", "O", "O", "O", "O", "O", "O", "O", "O", "O", "O", "O"],
  "fractional_positions": [[0.250, 0.599, 0.000], [0.250, 0.099, 0.500], [0.250, 0.697, 0.500], [0.750, 0.307, 0.500], [0.250, 0.197, 0.000], [0.750, 0.807, 0.000], [0.203, 0.405, 0.291], [0.203, 0.905, 0.791], [0.297, 0.405, 0.709], [0.297, 0.905, 0.209], [0.711, 0.593, 0.284], [0.711, 0.093, 0.784], [0.789, 0.593, 0.716], [0.789, 0.093, 0.216], [0.933, 0.191, 0.115], [0.933, 0.691, 0.615], [0.567, 0.191, 0.885], [0.567, 0.691, 0.385], [0.733, 0.458, 0.333], [0.733, 0.958, 0.833], [0.767, 0.458, 0.667], [0.767, 0.958, 0.167], [0.213, 0.545, 0.337], [0.213, 0.045, 0.837], [0.287, 0.545, 0.663], [0.287, 0.045, 0.163], [0.293, 0.379, 0.136], [0.293, 0.879, 0.636], [0.207, 0.379, 0.864], [0.207, 0.879, 0.364], [0.827, 0.637, 0.141], [0.827, 0.137, 0.641], [0.673, 0.637, 0.859], [0.673, 0.137, 0.359], [0.400, 0.796, 0.109], [0.400, 0.296, 0.609], [0.100, 0.796, 0.891], [0.100, 0.296, 0.391]]
}


Record 3
{
  "formula": "Li2VC3O9",
  "functional": "PBE with a Hubbard U",
  "state": "optimized geometry",
  "delta_e_f_ev_per_atom": -2.040,
  "total_magnetization_mub_per_cell": 2.0,
  "dft_energy_ev_per_fu": -107.839,
  "lattice_angstrom": [[9.795, 0.000, 0.000], [0.000, 4.818, 3.967], [0.000, -4.818, 3.967]],
  "species": ["Li", "Li", "Li", "Li", "V", "V", "C", "C", "C", "C", "C", "C", "O", "O", "O", "O", "O", "O", "O", "O", "O", "O", "O", "O", "O", "O", "O", "O", "O", "O"],
  "fractional_positions": [[0.250, 0.021, 0.979], [0.250, 0.400, 0.829], [0.750, 0.829, 0.400], [0.750, 0.979, 0.021], [0.250, 0.737, 0.325], [0.750, 0.325, 0.737], [0.018, 0.820, 0.225], [0.250, 0.362, 0.395], [0.482, 0.820, 0.225], [0.518, 0.225, 0.820], [0.750, 0.395, 0.362], [0.982, 0.225, 0.820], [0.062, 0.793, 0.420], [0.103, 0.185, 0.849], [0.122, 0.806, 0.088], [0.250, 0.165, 0.403], [0.250, 0.434, 0.203], [0.250, 0.528, 0.559], [0.378, 0.806, 0.088], [0.397, 0.185, 0.849], [0.438, 0.793, 0.420], [0.562, 0.420, 0.793], [0.603, 0.849, 0.185], [0.622, 0.088, 0.806], [0.750, 0.203, 0.434], [0.750, 0.403, 0.165], [0.750, 0.559, 0.528], [0.878, 0.088, 0.806], [0.897, 0.849, 0.185], [0.938, 0.420, 0.793]]
}


What is the formula in the second record? LiV2C4O12